Entry 1:
A relaxed structure of Eu3Al2O7. Source: Materials Project, functional r2SCAN.

abc: 3.7124 3.7124 19.7086
angles: 90.00 90.00 90.00
Space group I4/mmm (No. 139)
Inequivalent atoms, fractional coordinates:
1 Eu 0.0000 0.0000 0.0000 [2 per cell]
2 Eu 0.0000 0.0000 0.1825 [4 per cell]
3 Al 0.0000 0.0000 0.4045 [4 per cell]
4 O 0.0000 0.0000 0.3018 [4 per cell]
5 O 0.0000 0.0000 0.5000 [2 per cell]
6 O 0.0000 0.5000 0.0974 [8 per cell]

Values from the calculation:
The calculation puts the total moment at 19.00 μB per formula unit. The formation enthalpy at 0 K is -3.331 eV/atom. The electronic total energy comes out at -17.568 eV per atom.



Entry 2:
A relaxed structure of Eu4Al2O9. Source: Materials Project, functional r2SCAN.

abc: 7.6482 10.7206 11.1706
angles: 90.00 109.30 90.00
Space group P2_1/c (No. 14)
Inequivalent atoms, fractional coordinates:
1 Eu 0.0252 0.0887 0.3073 [4 per cell]
2 Eu 0.1627 0.6237 0.5844 [4 per cell]
3 Eu 0.3337 0.1272 0.9300 [4 per cell]
4 Eu 0.4750 0.6025 0.2122 [4 per cell]
5 Al 0.2222 0.1881 0.6291 [4 per cell]
6 Al 0.3482 0.6852 0.8820 [4 per cell]
7 O 0.0752 0.5036 0.3953 [4 per cell]
8 O 0.0785 0.2339 0.4796 [4 per cell]
9 O 0.2151 0.7251 0.2526 [4 per cell]
10 O 0.2158 0.0316 0.6679 [4 per cell]
11 O 0.2315 0.2268 0.2661 [4 per cell]
12 O 0.2979 0.5314 0.8302 [4 per cell]
13 O 0.3629 0.7294 0.0361 [4 per cell]
14 O 0.4311 0.5070 0.6036 [4 per cell]
15 O 0.4343 0.2375 0.6177 [4 per cell]

Values from the calculation:
The calculation puts the total moment at 12.00 μB per formula unit. The formation enthalpy at 0 K is -3.181 eV/atom. The electronic total energy comes out at -17.935 eV per atom.



Entry 3:
A relaxed structure of EuAl2Se4. Source: Materials Project, functional r2SCAN.

abc: 6.2230 10.9075 10.9408
angles: 90.00 90.00 90.00
Space group Cccm (No. 66)
Inequivalent atoms, fractional coordinates:
1 Eu 0.0000 0.0000 0.2500 [4 per cell]
2 Al 0.0010 0.2595 0.0000 [8 per cell]
3 Se 0.2348 0.0834 0.5000 [8 per cell]
4 Se 0.2500 0.2500 0.1670 [8 per cell]

Values from the calculation:
The calculation puts the total moment at 7.00 μB per formula unit. The formation enthalpy at 0 K is -1.450 eV/atom. The electronic total energy comes out at -17.054 eV per atom.



Entry 4:
A relaxed structure of EuAl2Si2. Source: Materials Project, functional r2SCAN.

abc: 4.1761 4.1761 7.1204
angles: 90.00 90.00 120.00
Space group P-3m1 (No. 164)
Inequivalent atoms, fractional coordinates:
1 Eu 0.0000 0.0000 0.0000 [1 per cell]
2 Al 0.3333 0.6667 0.6301 [2 per cell]
3 Si 0.3333 0.6667 0.2691 [2 per cell]

Values from the calculation:
The calculation puts the total moment at 6.93 μB per formula unit. The formation enthalpy at 0 K is -0.404 eV/atom. The electronic total energy comes out at -14.311 eV per atom.